Here is a relaxed structure of Li9Mn15O32 from the Materials Project. Energies are from PBE with a Hubbard U.

Computed properties:
Energy (eV/atom): -6.81
Excess energy over the best structure of this formula in the dataset (eV/f.u.): 0.00
ΔE_f (meV per atom): -2062

Lattice parameters (Å, degrees): 8.3642 8.4052 10.2312 65.80 66.03 89.84
Atoms (fractional coordinates):
Li: 0.0000 0.0000 0.0000
Li: 0.0632 0.3078 0.6247
Li: 0.1830 0.4360 0.8785
Li: 0.3106 0.0602 0.1207
Li: 0.4299 0.1943 0.3777
Li: 0.5689 0.8091 0.6208
Li: 0.6881 0.9399 0.8802
Li: 0.8197 0.5694 0.1196
Li: 0.9353 0.6938 0.3716
Mn: 0.0007 0.0024 0.4991
Mn: 0.1197 0.3852 0.2490
Mn: 0.1293 0.8831 0.7464
Mn: 0.2490 0.7562 0.9935
Mn: 0.2499 0.7530 0.4978
Mn: 0.3660 0.6300 0.2513
Mn: 0.3758 0.1225 0.7484
Mn: 0.4984 0.5022 0.9984
Mn: 0.5039 0.5038 0.4986
Mn: 0.6269 0.8781 0.2523
Mn: 0.6324 0.3675 0.7502
Mn: 0.7466 0.2429 0.0053
Mn: 0.7516 0.2487 0.5012
Mn: 0.8721 0.1235 0.2498
Mn: 0.8789 0.6217 0.7476
O: 0.0111 0.7631 0.5102
O: 0.0331 0.7666 0.9697
O: 0.0945 0.1186 0.2668
O: 0.1231 0.6521 0.7317
O: 0.1283 0.6456 0.2167
O: 0.1547 0.1104 0.7411
O: 0.2304 0.9824 0.5072
O: 0.2520 0.5317 0.4877
O: 0.2622 0.5161 0.0036
O: 0.2640 0.9935 0.9727
O: 0.3436 0.3962 0.2578
O: 0.3616 0.8862 0.7544
O: 0.3825 0.8592 0.2659
O: 0.4018 0.3648 0.7353
O: 0.4774 0.7311 0.0121
O: 0.4850 0.7480 0.4897
O: 0.5166 0.2573 0.5097
O: 0.5195 0.2701 0.9840
O: 0.6197 0.1418 0.7348
O: 0.6212 0.6411 0.2681
O: 0.6396 0.1204 0.2410
O: 0.6519 0.6000 0.7392
O: 0.7355 0.0068 0.0273
O: 0.7416 0.4897 0.9854
O: 0.7502 0.4662 0.5198
O: 0.7704 0.0217 0.4896
O: 0.8481 0.3483 0.7762
O: 0.8493 0.8971 0.2569
O: 0.8761 0.3525 0.2674
O: 0.9070 0.8915 0.7300
O: 0.9651 0.2392 0.0241
O: 0.9871 0.2369 0.4912

Here is a relaxed structure of BaSr4Fe5O15 from the Materials Project. Energies are from PBE with a Hubbard U.

Computed properties:
Energy (eV/atom): -6.35
Excess energy over the best structure of this formula in the dataset (eV/f.u.): 0.03
ΔE_f (meV per atom): -2204

Lattice parameters (Å, degrees): 5.5706 5.5706 20.2269 97.90 97.90 89.99
Atoms (fractional coordinates):
Ba: 0.2501 0.7499 0.0000
Ba: 0.7499 0.2501 0.0000
Sr: 0.0497 0.5494 0.5991
Sr: 0.1487 0.6483 0.7969
Sr: 0.3513 0.8511 0.2026
Sr: 0.4504 0.9504 0.4009
Sr: 0.5494 0.0497 0.5991
Sr: 0.6483 0.1487 0.7969
Sr: 0.8511 0.3513 0.2026
Sr: 0.9504 0.4504 0.4009
Fe: 0.9996 0.9996 0.4997
Fe: 0.0987 0.0987 0.6973
Fe: 0.1985 0.1985 0.8973
Fe: 0.3012 0.3012 0.1028
Fe: 0.4007 0.4007 0.3018
Fe: 0.5001 0.5001 0.5001
Fe: 0.5989 0.5989 0.6978
Fe: 0.6978 0.6978 0.8951
Fe: 0.8019 0.8019 0.1038
Fe: 0.9012 0.9012 0.3020
O: 0.0508 0.0508 0.6002
O: 0.0517 0.0517 0.1065
O: 0.0518 0.5544 0.1064
O: 0.1467 0.1467 0.7935
O: 0.1513 0.6510 0.3023
O: 0.1516 0.1516 0.3021
O: 0.2513 0.2513 0.0022
O: 0.2509 0.2509 0.5003
O: 0.2507 0.7498 0.5005
O: 0.3444 0.3444 0.6970
O: 0.3455 0.8515 0.6969
O: 0.3528 0.3528 0.2034
O: 0.4472 0.4472 0.8940
O: 0.4472 0.9468 0.8940
O: 0.4504 0.4504 0.4011
O: 0.5488 0.5488 0.5994
O: 0.5544 0.0518 0.1064
O: 0.5546 0.5546 0.1062
O: 0.6460 0.6460 0.7941
O: 0.6510 0.1513 0.3023
O: 0.6507 0.6507 0.3025
O: 0.7494 0.7494 0.5007
O: 0.7498 0.2507 0.5005
O: 0.7520 0.7520 0.0039
O: 0.8503 0.8503 0.2023
O: 0.8515 0.3455 0.6969
O: 0.8523 0.8523 0.6969
O: 0.9468 0.4472 0.8940
O: 0.9467 0.9467 0.8939
O: 0.9504 0.9504 0.4013

Here is a relaxed structure of Li9Mn2Co5O16 from the Materials Project. Energies are from PBE with a Hubbard U.

Computed properties:
Energy (eV/atom): -5.80
Excess energy over the best structure of this formula in the dataset (eV/f.u.): 1.90
ΔE_f (meV per atom): -1805

Lattice parameters (Å, degrees): 5.1927 6.4414 8.6194 97.14 94.32 95.74
Atoms (fractional coordinates):
Li: 0.0000 0.0000 0.0000
Li: 0.0003 0.2338 0.7415
Li: 0.0063 0.5063 0.5056
Li: 0.2529 0.9368 0.5680
Li: 0.4988 0.1146 0.8712
Li: 0.4986 0.6389 0.3905
Li: 0.5065 0.3768 0.6269
Li: 0.5130 0.8890 0.1332
Li: 0.9977 0.7559 0.2639
Mn: 0.2525 0.4369 0.0695
Mn: 0.7518 0.5660 0.9391
Co: 0.2521 0.1890 0.3194
Co: 0.2520 0.6948 0.8106
Co: 0.7517 0.0656 0.4406
Co: 0.7523 0.3152 0.1928
Co: 0.7550 0.8167 0.6879
O: 0.0972 0.2005 0.5136
O: 0.1059 0.6948 0.0192
O: 0.1278 0.9517 0.7862
O: 0.1383 0.4590 0.2796
O: 0.3662 0.1695 0.1095
O: 0.3757 0.6614 0.6150
O: 0.3975 0.4320 0.8628
O: 0.4042 0.9390 0.3561
O: 0.6417 0.3317 0.4001
O: 0.6419 0.8332 0.9077
O: 0.6481 0.5855 0.1520
O: 0.6526 0.0819 0.6468
O: 0.8521 0.8000 0.4771
O: 0.8560 0.2946 0.9785
O: 0.8601 0.5448 0.7303
O: 0.8629 0.0505 0.2322

Here is a relaxed structure of MgMn12O14F10 from the Materials Project. Energies are from PBE with a Hubbard U.

Computed properties:
Energy (eV/atom): -6.72
Excess energy over the best structure of this formula in the dataset (eV/f.u.): 1.23
ΔE_f (meV per atom): -2240

Lattice parameters (Å, degrees): 4.8184 5.8030 15.1901 88.82 88.66 87.67
Atoms (fractional coordinates):
Mg: 0.0000 0.0000 0.0000
Mn: 0.0070 0.7388 0.8271
Mn: 0.0222 0.4014 0.6761
Mn: 0.0353 0.4547 0.0247
Mn: 0.0400 0.7198 0.5095
Mn: 0.0441 0.4009 0.3451
Mn: 0.0740 0.7547 0.1912
Mn: 0.4674 0.9288 0.6700
Mn: 0.5043 0.2158 0.8293
Mn: 0.5086 0.2345 0.5021
Mn: 0.5340 0.7596 0.9791
Mn: 0.5351 0.9469 0.3322
Mn: 0.5456 0.2412 0.1715
O: 0.1586 0.7011 0.9485
O: 0.1973 0.4525 0.7849
O: 0.2300 0.6872 0.6223
O: 0.2333 0.4472 0.4523
O: 0.2710 0.9615 0.7756
O: 0.2784 0.1740 0.6090
O: 0.2807 0.7023 0.2917
O: 0.2891 0.5002 0.1196
O: 0.3111 0.1814 0.2747
O: 0.7137 0.1821 0.7244
O: 0.7371 0.1872 0.3962
O: 0.7517 0.9676 0.8921
O: 0.7603 0.9720 0.2303
O: 0.7957 0.2382 0.0701
F: 0.2621 0.2089 0.9427
F: 0.2948 0.9534 0.4404
F: 0.2946 0.9721 0.0935
F: 0.7255 0.9443 0.5618
F: 0.7297 0.4728 0.9116
F: 0.7319 0.6891 0.7265
F: 0.7824 0.7083 0.3983
F: 0.7884 0.4422 0.5686
F: 0.8152 0.7545 0.0811
F: 0.8218 0.4677 0.2383

Here is a relaxed structure of Li9Mn2Co5O16 from the Materials Project. Energies are from PBE with a Hubbard U.

Computed properties:
Energy (eV/atom): -5.84
Excess energy over the best structure of this formula in the dataset (eV/f.u.): 0.35
ΔE_f (meV per atom): -1853

Lattice parameters (Å, degrees): 2.9039 9.8201 10.1395 79.74 89.23 88.93
Atoms (fractional coordinates):
Li: 0.0000 0.0000 0.0000
Li: 0.0031 0.7504 0.3762
Li: 0.0058 0.7553 0.8802
Li: 0.4967 0.7584 0.1136
Li: 0.4986 0.7481 0.6229
Li: 0.5014 0.2519 0.3771
Li: 0.5033 0.2416 0.8864
Li: 0.9942 0.2447 0.1198
Li: 0.9969 0.2496 0.6238
Mn: 0.4994 0.9977 0.7550
Mn: 0.5006 0.0023 0.2450
Co: 0.0000 0.0000 0.5000
Co: 0.0014 0.5009 0.2501
Co: 0.5000 0.5000 0.0000
Co: 0.5000 0.5000 0.5000
Co: 0.9986 0.4991 0.7499
O: 0.0039 0.8939 0.6812
O: 0.0051 0.8884 0.1986
O: 0.0073 0.6176 0.5616
O: 0.0139 0.6168 0.0615
O: 0.4808 0.3841 0.6861
O: 0.4829 0.3865 0.1893
O: 0.4927 0.1057 0.5621
O: 0.4991 0.1165 0.0827
O: 0.5009 0.8835 0.9173
O: 0.5073 0.8943 0.4379
O: 0.5171 0.6135 0.8107
O: 0.5192 0.6159 0.3139
O: 0.9861 0.3832 0.9385
O: 0.9927 0.3824 0.4384
O: 0.9949 0.1116 0.8014
O: 0.9961 0.1061 0.3188

Here is a relaxed structure of MgFe4P4O16 from the Materials Project. Energies are from PBE with a Hubbard U.

Computed properties:
Energy (eV/atom): -7.01
Excess energy over the best structure of this formula in the dataset (eV/f.u.): 0.96
ΔE_f (meV per atom): -2355

Lattice parameters (Å, degrees): 5.2825 8.6035 9.5020 87.40 89.69 73.26
Atoms (fractional coordinates):
Mg: 0.0000 0.0000 0.0000
Fe: 0.1071 0.7937 0.3713
Fe: 0.2175 0.1950 0.4342
Fe: 0.5972 0.3341 0.9146
Fe: 0.6663 0.6970 0.8743
P: 0.0567 0.2879 0.7662
P: 0.2314 0.6944 0.0538
P: 0.5234 0.7940 0.5330
P: 0.7795 0.1627 0.2414
O: 0.0675 0.2989 0.6084
O: 0.2081 0.6510 0.2097
O: 0.2942 0.9449 0.4721
O: 0.3307 0.2615 0.8352
O: 0.3638 0.8338 0.0229
O: 0.4102 0.6558 0.4872
O: 0.4120 0.5483 0.9749
O: 0.5298 0.1697 0.3196
O: 0.5506 0.8030 0.6924
O: 0.7155 0.1961 0.0762
O: 0.7905 0.7869 0.4622
O: 0.8500 0.4436 0.8254
O: 0.9294 0.2776 0.2884
O: 0.9347 0.1525 0.8274
O: 0.9540 0.7650 0.9806
O: 0.9659 0.9829 0.2304

Here is a relaxed structure of Fe4O5F3 from the Materials Project. Energies are from PBE with a Hubbard U.

Computed properties:
Energy (eV/atom): -6.07
Excess energy over the best structure of this formula in the dataset (eV/f.u.): 0.08
ΔE_f (meV per atom): -1864

Lattice parameters (Å, degrees): 5.6125 4.6929 10.3174 90.00 95.30 90.00
Atoms (fractional coordinates):
Fe: 0.0000 0.2011 0.0000
Fe: 0.0000 0.7989 0.5000
Fe: 0.2396 0.2569 0.7602
Fe: 0.2396 0.7431 0.2602
Fe: 0.4857 0.2726 0.5202
Fe: 0.4857 0.7274 0.0202
Fe: 0.7318 0.2278 0.2432
Fe: 0.7318 0.7722 0.7432
O: 0.2222 0.0682 0.5952
O: 0.2222 0.9318 0.0952
O: 0.2639 0.4325 0.9255
O: 0.2639 0.5675 0.4255
O: 0.5018 0.4560 0.6919
O: 0.5018 0.5440 0.1919
O: 0.7165 0.0460 0.0760
O: 0.7165 0.9540 0.5760
O: 0.9762 0.0503 0.8236
O: 0.9762 0.9497 0.3236
F: 0.0013 0.4445 0.1725
F: 0.0013 0.5555 0.6725
F: 0.4707 0.0624 0.3389
F: 0.4707 0.9376 0.8389
F: 0.7665 0.4460 0.4282
F: 0.7665 0.5540 0.9282

Here is a relaxed structure of NaCoO2 from the Materials Project. Energies are from PBE with a Hubbard U.

Computed properties:
Energy (eV/atom): -5.32
ΔE_f (meV per atom): -1490

Lattice parameters (Å, degrees): 5.5101 6.3344 5.5056 90.01 61.72 90.01
Atoms (fractional coordinates):
Na: 0.2499 0.1267 0.0000
Na: 0.7500 0.1266 0.5000
Na: 0.7500 0.8733 0.0000
Na: 0.2500 0.8733 0.5000
Co: 0.7501 0.6221 0.5001
Co: 0.2498 0.3779 0.4998
Co: 0.2502 0.6220 0.0001
Co: 0.7498 0.3779 0.9998
O: 0.4997 0.5801 0.2497
O: 0.9997 0.5801 0.7497
O: 0.5005 0.4199 0.7505
O: 0.0005 0.4199 0.2505
O: 0.5002 0.1749 0.2502
O: 0.0002 0.1748 0.7502
O: 0.4997 0.8251 0.7498
O: 0.9997 0.8252 0.2497

Here is a relaxed structure of CaCo2P2O10 from the Materials Project. Energies are from PBE with a Hubbard U.

Computed properties:
Energy (eV/atom): -6.55
ΔE_f (meV per atom): -2128

Lattice parameters (Å, degrees): 9.8853 8.7752 6.8583 77.37 60.02 42.61
Atoms (fractional coordinates):
Ca: 0.1250 0.1250 0.1250
Ca: 0.8750 0.8750 0.8750
Co: 0.0000 0.5000 0.5000
Co: 0.5000 0.0000 0.5000
Co: 0.5000 0.5000 0.0000
Co: 0.5000 0.5000 0.5000
P: 0.0831 0.0831 0.6669
P: 0.3331 0.3331 0.9169
P: 0.6669 0.6669 0.0831
P: 0.9169 0.9169 0.3331
O: 0.0436 0.2351 0.4888
O: 0.1116 0.4389 0.1518
O: 0.1518 0.7977 0.1116
O: 0.2023 0.8482 0.5611
O: 0.2351 0.0436 0.7324
O: 0.2676 0.5112 0.7649
O: 0.2878 0.2878 0.4622
O: 0.4389 0.1116 0.7977
O: 0.4622 0.4622 0.2878
O: 0.4888 0.7324 0.0436
O: 0.5112 0.2676 0.9564
O: 0.5378 0.5378 0.7122
O: 0.5611 0.8884 0.2023
O: 0.7122 0.7122 0.5378
O: 0.7324 0.4888 0.2351
O: 0.7649 0.9564 0.2676
O: 0.7977 0.1518 0.4389
O: 0.8482 0.2023 0.8884
O: 0.8884 0.5611 0.8482
O: 0.9564 0.7649 0.5112

Here is a relaxed structure of Ti15VO24 from the Materials Project. Energies are from PBE with a Hubbard U.

Computed properties:
Energy (eV/atom): -8.96
ΔE_f (meV per atom): -3262

Lattice parameters (Å, degrees): 5.5378 9.1092 9.1115 68.23 84.76 84.80
Atoms (fractional coordinates):
Ti: 0.0000 0.0000 0.0000
Ti: 0.9997 0.2492 0.2514
Ti: 0.0000 0.7492 0.7501
Ti: 0.0026 0.4991 0.5015
Ti: 0.1172 0.1523 0.6552
Ti: 0.1169 0.6536 0.1541
Ti: 0.1184 0.4037 0.9043
Ti: 0.1187 0.9036 0.4040
Ti: 0.4990 0.5002 0.0010
Ti: 0.5002 0.2507 0.7495
Ti: 0.5014 0.9999 0.4991
Ti: 0.5015 0.7485 0.2499
Ti: 0.6164 0.6541 0.6535
Ti: 0.6180 0.1538 0.1533
Ti: 0.6177 0.9042 0.9043
V: 0.6186 0.4041 0.4050
O: 0.1522 0.6075 0.9525
O: 0.1528 0.7006 0.3583
O: 0.1536 0.1070 0.4525
O: 0.1539 0.2008 0.8582
O: 0.2997 0.3576 0.5514
O: 0.3082 0.8580 0.0467
O: 0.3085 0.2952 0.1087
O: 0.3087 0.7948 0.6082
O: 0.4653 0.4519 0.7959
O: 0.4650 0.5507 0.1949
O: 0.4664 0.0458 0.7011
O: 0.4661 0.9514 0.2953
O: 0.6523 0.1085 0.9513
O: 0.6519 0.7015 0.8581
O: 0.6532 0.6116 0.4522
O: 0.6561 0.1944 0.3588
O: 0.8082 0.3583 0.0467
O: 0.8088 0.7963 0.1079
O: 0.8089 0.8573 0.5465
O: 0.8120 0.2941 0.6120
O: 0.9633 0.5456 0.7023
O: 0.9652 0.0462 0.2018
O: 0.9650 0.9511 0.7966
O: 0.9713 0.4517 0.2956

Question: Which of these has the highest energy?
Answer: NaCoO2